Entry 1:
First-principles (GGA+U) data for a geometry-optimized VOF structure, as listed in the Materials Project database.

- Total moment: 16.0 μB per cell
- DFT formation energy: -2801 meV/atom
- SG: P2/m
- Total energy: -172.0 eV/cell
- V: 11.63 Å³ per atom

POSCAR file:
```
VOF
1.0
4.7505 0.0000 0.0000
0.0000 3.1017 0.0000
-0.8500 0.0000 18.9466
V O F
8 8 8
Cartesian
0.0000 0.0000 0.0000 V
-0.4250 0.0000 9.4733 V
-0.0616 0.0000 4.7358 V
1.2858 1.5509 16.5809 V
1.7766 1.5509 11.8397 V
2.1239 1.5509 7.1069 V
2.6147 1.5509 2.3658 V
3.9621 0.0000 14.2108 V
0.0736 1.5509 18.0359 O
0.5429 0.0000 15.6157 O
0.9015 0.0000 10.8885 O
1.2449 0.0000 6.1603 O
2.6556 0.0000 12.7863 O
2.9989 0.0000 8.0581 O
3.3576 0.0000 3.3310 O
3.8268 1.5509 0.9108 O
0.2211 1.5509 13.2887 F
0.5640 1.5509 8.5455 F
0.9248 1.5509 3.7825 F
1.4579 0.0000 1.5017 F
2.4426 0.0000 17.4449 F
2.9756 1.5509 15.1642 F
3.3365 1.5509 10.4011 F
3.6794 1.5509 5.6579 F
```

---

Entry 2:
First-principles (GGA+U) data for a geometry-optimized Ca16Mn14Al2O47 structure, as listed in the Materials Project database.

- Total moment: 84.0 μB per cell
- DFT formation energy: -2580 meV/atom
- SG: P1
- Total energy: -1097.2 eV/cell
- V: 11.02 Å³ per atom

POSCAR file:
```
Ca16Mn14Al2O47
1.0
10.6710 0.0000 0.0000
-0.0743 10.8161 0.0000
-0.0013 -0.0015 15.0810
Ca Mn Al O
32 28 4 94
Cartesian
0.0000 0.0000 0.0000 Ca
-0.0341 5.3742 0.0468 Ca
-0.0175 5.3985 7.5279 Ca
-0.0492 10.7970 7.5392 Ca
2.5573 2.7195 15.0297 Ca
2.5701 2.6927 7.5352 Ca
2.5389 8.1022 7.5408 Ca
2.5696 8.5220 3.8171 Ca
2.5898 8.1910 0.0450 Ca
2.6223 8.5872 11.3167 Ca
2.6632 3.1626 11.2875 Ca
2.6814 3.2011 3.7375 Ca
5.2460 0.4879 11.3015 Ca
5.2067 5.8914 3.7833 Ca
5.2805 0.5185 3.8142 Ca
5.2413 5.9061 11.2959 Ca
5.3130 5.3784 0.0013 Ca
5.3034 5.4112 7.5356 Ca
5.2712 10.8018 7.5374 Ca
5.3851 0.0164 15.0068 Ca
7.9040 2.6942 15.0758 Ca
7.9067 2.6973 7.5393 Ca
7.8715 8.1084 7.5388 Ca
7.9142 8.1265 0.0098 Ca
7.9370 8.5788 11.3205 Ca
7.9451 8.5955 3.7686 Ca
7.9984 3.1907 3.7604 Ca
8.0055 3.1951 11.3128 Ca
10.5293 5.8699 11.2427 Ca
10.5535 5.9030 3.7589 Ca
10.6037 0.4723 3.7717 Ca
10.5973 0.5146 11.3058 Ca
10.6096 8.3593 1.8514 Mn
2.5885 5.6539 9.4654 Mn
2.6384 0.1982 13.2357 Mn
2.6375 0.2330 9.4290 Mn
2.5994 5.6413 5.6587 Mn
2.6447 0.2359 5.6251 Mn
2.6054 5.6865 1.8560 Mn
5.2124 8.3458 13.2269 Mn
5.2690 2.9203 1.8750 Mn
5.2856 2.9463 9.4225 Mn
5.2461 8.3541 9.4228 Mn
5.2889 2.9494 5.6569 Mn
5.2519 8.3604 5.6229 Mn
5.3128 2.9335 13.1788 Mn
7.9507 0.2249 1.8731 Mn
7.9615 0.2691 13.1722 Mn
7.9729 0.2387 9.4255 Mn
7.9356 5.6467 5.6440 Mn
7.9296 5.6477 9.4151 Mn
7.9803 0.2396 5.6528 Mn
7.9463 5.6207 1.8696 Mn
7.9551 5.6662 13.1948 Mn
10.5934 2.9513 1.8781 Mn
10.6201 2.9393 9.4152 Mn
10.5768 8.3484 5.6571 Mn
10.6253 2.9400 5.6414 Mn
10.5944 8.3448 9.4582 Mn
10.6353 2.9688 13.1948 Mn
2.4277 0.4021 1.8657 Al
2.8134 5.4976 13.1739 Al
5.4045 8.1413 1.8284 Al
10.4405 8.5658 13.1335 Al
0.3193 8.2237 11.3756 O
0.3132 8.2467 3.7603 O
0.3779 2.8352 3.7653 O
0.3808 2.8426 11.3104 O
0.9994 1.4252 1.5729 O
1.0211 6.7702 9.1312 O
1.0633 1.3515 5.9242 O
1.0631 1.3669 9.1153 O
1.0335 6.7851 1.5707 O
1.0272 6.7773 5.9537 O
1.0790 1.3793 13.5254 O
1.4509 4.2146 13.5004 O
1.4309 9.4285 13.4787 O
1.5132 4.0661 5.9602 O
1.5035 4.0713 9.1284 O
1.4720 9.4734 5.9490 O
1.5196 4.0733 1.5694 O
1.4767 9.4718 9.1229 O
1.5088 9.5298 1.6254 O
2.2160 0.1295 11.3218 O
2.1873 5.5607 3.7568 O
2.1920 5.5843 11.3863 O
2.3510 0.0773 3.7013 O
2.8921 5.8162 15.0128 O
3.0446 0.2849 0.0774 O
3.0524 0.3446 7.5263 O
3.0113 5.7500 7.5532 O
3.6418 7.1894 12.9395 O
3.7245 1.8044 12.9023 O
3.7258 1.8194 9.7302 O
3.7264 1.8268 5.3363 O
3.6847 7.2314 9.7350 O
3.6973 7.2172 5.3517 O
3.7366 7.2821 2.1552 O
3.7859 1.6762 2.1873 O
4.1656 4.5243 2.1616 O
4.1666 4.5212 9.7490 O
4.1727 4.5202 5.3428 O
4.1302 9.9205 12.9040 O
4.1403 9.9334 5.3374 O
4.1400 9.9329 9.7271 O
4.2358 4.4624 12.8865 O
4.8545 3.0451 15.0776 O
4.8599 3.0532 7.5401 O
4.8319 8.4555 7.5255 O
4.8575 8.4880 0.0692 O
5.5621 8.3717 3.6965 O
5.6494 8.2434 11.3220 O
5.7054 2.8483 3.7699 O
5.7282 2.8185 11.2995 O
6.3804 1.3486 1.5753 O
6.3881 1.3581 5.9427 O
6.3962 1.3662 9.1082 O
6.3583 6.7743 9.1166 O
6.3567 6.7812 5.9226 O
6.4079 1.3754 13.4822 O
6.3661 6.7831 13.5122 O
6.4270 6.7121 1.5742 O
6.6808 9.5262 1.6002 O
6.8462 4.0684 5.9673 O
6.8407 4.0715 9.1090 O
6.8102 9.4723 9.1162 O
6.8011 9.4762 13.5013 O
6.8522 4.0356 1.5719 O
6.8141 9.4763 5.9550 O
6.8707 4.0725 13.5062 O
7.5296 0.1324 11.2967 O
7.5109 5.5383 3.7634 O
7.5584 0.1311 3.7697 O
7.5228 5.5477 11.3070 O
8.3817 0.3403 15.0747 O
8.3988 0.3508 7.5370 O
8.3550 5.7616 7.5322 O
8.3722 5.7509 15.0741 O
9.0382 1.8197 2.1984 O
9.0622 1.8209 5.3377 O
9.0602 1.8153 9.7347 O
9.0612 1.8497 12.8827 O
9.0171 7.2293 5.3410 O
9.0234 7.2223 9.7413 O
9.0285 7.2362 2.1737 O
9.1591 7.1816 12.9146 O
9.4075 9.9918 12.8890 O
9.4946 4.5085 9.7075 O
9.4649 9.9190 2.1460 O
9.5122 4.5230 5.3434 O
9.4733 9.9298 5.3433 O
9.5244 4.5349 2.1773 O
9.4781 9.9261 9.7470 O
9.5275 4.5396 12.8800 O
10.1798 3.0650 15.0750 O
10.2015 3.0436 7.5333 O
10.1655 8.4521 7.5518 O
10.2874 8.3439 15.0064 O
```

---

Entry 3:
First-principles (GGA+U) data for a geometry-optimized Mg6VCO8 structure, as listed in the Materials Project database.

- Energy relative to the lowest polymorph listed for this composition: 12 meV/atom
- Total moment: 3.0 μB per cell
- DFT formation energy: -2281 meV/atom
- SG: P4/mmm
- Total energy: -96.8 eV/cell
- V: 9.79 Å³ per atom

POSCAR file:
```
Mg6VCO8
1.0
4.1888 0.0000 0.0000
0.0000 4.1888 0.0000
0.0000 0.0000 8.9267
Mg V C O
6 1 1 8
Cartesian
0.0000 0.0000 0.0000 Mg
0.0000 0.0000 4.4634 Mg
0.0000 2.0944 2.1417 Mg
0.0000 2.0944 6.7851 Mg
2.0944 0.0000 2.1417 Mg
2.0944 0.0000 6.7851 Mg
2.0944 2.0944 4.4634 V
2.0944 2.0944 0.0000 C
0.0000 0.0000 2.1939 O
0.0000 0.0000 6.7328 O
0.0000 2.0944 0.0000 O
0.0000 2.0944 4.4634 O
2.0944 0.0000 0.0000 O
2.0944 0.0000 4.4634 O
2.0944 2.0944 2.4197 O
2.0944 2.0944 6.5070 O
```

---

Entry 4:
First-principles (GGA+U) data for a geometry-optimized Rb2NaMnF6 structure, as listed in the Materials Project database.

- Total moment: 4.0 μB per cell
- DFT formation energy: -2943 meV/atom
- SG: Fm-3m
- Total energy: -48.9 eV/cell
- V: 15.91 Å³ per atom

POSCAR file:
```
Rb2NaMnF6
1.0
0.0000 4.3008 4.3008
4.3008 0.0000 4.3008
4.3008 4.3008 0.0000
Rb Na Mn F
2 1 1 6
Cartesian
2.1504 2.1504 2.1504 Rb
6.4512 6.4512 6.4512 Rb
0.0000 0.0000 0.0000 Na
4.3008 4.3008 4.3008 Mn
4.3008 4.3008 2.3345 F
4.3008 2.3345 4.3008 F
6.2671 4.3008 4.3008 F
2.3345 4.3008 4.3008 F
4.3008 6.2671 4.3008 F
4.3008 4.3008 6.2671 F
```

---

Entry 5:
First-principles (GGA+U) data for a geometry-optimized La3MnO7 structure, as listed in the Materials Project database.

- Energy relative to the lowest polymorph listed for this composition: 0 meV/atom
- Total moment: 4.0 μB per cell
- DFT formation energy: -3076 meV/atom
- SG: P2_1
- Total energy: -171.9 eV/cell
- V: 13.68 Å³ per atom

POSCAR file:
```
La3MnO7
1.0
5.5516 0.0000 0.0000
0.0000 5.2951 0.0000
-2.7674 0.0000 10.2368
La Mn O
6 2 14
Cartesian
-0.0127 0.0000 1.5066 La
0.0250 5.2398 5.1055 La
-0.1333 5.2637 8.7704 La
2.9174 2.6161 1.4665 La
2.7591 2.5922 5.1313 La
2.7969 2.6476 8.7302 La
0.0404 2.6192 7.0615 Mn
2.7437 5.2667 3.1753 Mn
-2.4568 5.1720 9.4861 O
-1.3399 1.3260 6.9724 O
-1.3303 3.9210 6.9235 O
0.2592 2.6182 5.2421 O
1.4329 3.9620 3.0161 O
1.4598 1.2968 2.9950 O
-0.1743 2.6153 9.1769 O
2.9585 5.2628 1.0599 O
1.3243 3.9444 7.2418 O
1.3512 1.3145 7.2208 O
2.5250 5.2658 4.9947 O
4.1145 1.2735 3.3133 O
4.1240 3.9736 3.2645 O
5.2410 2.5244 0.7508 O
```

---

Entry 6:
First-principles (GGA+U) data for a geometry-optimized CaNiWO6 structure, as listed in the Materials Project database.

- Energy relative to the lowest polymorph listed for this composition: 72 meV/atom
- Total moment: 0.0 μB per cell
- DFT formation energy: -1785 meV/atom
- SG: Pnn2
- Total energy: -110.8 eV/cell
- V: 15.82 Å³ per atom

POSCAR file:
```
CaNiWO6
1.0
5.0780 0.0000 0.0000
0.0000 5.6094 0.0000
0.0000 0.0000 9.9991
Ca Ni W O
2 2 2 12
Cartesian
0.0000 0.0000 0.0000 Ca
2.5390 2.8047 4.9996 Ca
0.0000 0.0000 6.6752 Ni
2.5390 2.8047 1.6756 Ni
0.0000 2.8047 1.8549 W
2.5390 0.0000 6.8545 W
1.1826 0.6267 8.0944 O
1.2419 3.6617 0.5567 O
1.2591 1.3475 1.5985 O
1.2799 4.1522 6.5981 O
1.2971 0.8570 5.5562 O
1.3564 3.4314 3.0948 O
3.7216 2.1780 3.0948 O
3.7809 4.7523 5.5562 O
3.7981 1.4572 6.5981 O
3.8189 4.2618 1.5985 O
3.8361 1.9477 0.5567 O
3.8954 4.9827 8.0944 O
```

---

Entry 7:
First-principles (GGA+U) data for a geometry-optimized Li9Co3P8O29 structure, as listed in the Materials Project database.

- Energy relative to the lowest polymorph listed for this composition: 15 meV/atom
- Total moment: 0.0 μB per cell
- DFT formation energy: -2472 meV/atom
- SG: Cc
- Total energy: -643.2 eV/cell
- V: 11.72 Å³ per atom

POSCAR file:
```
Li9Co3P8O29
1.0
8.5250 -4.9017 0.0000
8.5250 4.9017 0.0000
-0.0377 0.0000 13.7443
Li Co P O
18 6 16 58
Cartesian
8.5062 4.8919 6.8722 Li
4.8272 2.7364 12.9826 Li
2.7696 0.6757 11.2340 Li
6.5266 2.8102 4.3513 Li
2.7885 -0.6757 4.3618 Li
7.6210 2.0513 11.2063 Li
5.4435 0.1199 5.2390 Li
5.4246 -0.1199 12.1111 Li
8.5146 0.6758 6.0900 Li
12.1360 2.7514 12.9790 Li
4.8460 -2.7364 6.1104 Li
8.4957 -0.6758 12.9622 Li
7.6399 -2.0513 4.3341 Li
11.3448 0.0127 10.4535 Li
11.3637 -0.0127 3.5814 Li
6.5077 -2.8102 11.2235 Li
12.1549 -2.7514 6.1068 Li
8.5250 -4.8919 0.0000 Li
10.4836 2.7644 1.7885 Co
9.3973 2.1325 8.6749 Co
9.4162 -2.1325 1.8027 Co
14.1975 0.6039 8.6459 Co
14.2164 -0.6039 1.7737 Co
10.4647 -2.7644 8.6606 Co
8.5330 -4.8892 3.4837 P
8.5141 4.8892 10.3559 P
4.8708 2.6496 9.9614 P
3.7644 1.9971 3.0872 P
2.9791 0.6494 0.5088 P
6.4344 2.6361 7.3724 P
2.9602 -0.6494 7.3809 P
7.6440 2.0202 0.4771 P
8.4104 0.6916 3.0869 P
3.7455 -1.9971 9.9594 P
4.8896 -2.6496 3.0892 P
8.3916 -0.6916 9.9590 P
6.4532 -2.6361 0.5003 P
7.6252 -2.0202 7.3493 P
11.3818 0.0022 0.0960 P
11.3629 -0.0022 6.9682 P
7.2663 4.1574 2.9538 O
3.4973 1.9764 9.9814 O
5.0393 2.8350 3.0791 O
8.5628 4.8585 4.9957 O
1.2857 0.6653 9.7987 O
2.8627 0.8770 7.3521 O
6.3709 2.8663 0.4533 O
3.7278 1.1241 13.0329 O
5.6344 2.2026 6.1405 O
3.7314 1.0921 4.3228 O
5.6745 2.2048 11.1780 O
5.6332 2.0897 8.6562 O
3.8486 1.0230 1.8100 O
1.3045 -0.6653 2.9265 O
8.4603 3.4037 9.8614 O
8.8756 2.9409 0.6281 O
10.0880 3.6222 7.5242 O
2.8816 -0.8770 0.4800 O
7.8039 1.9607 7.3819 O
7.6562 1.2054 4.3038 O
3.8297 -1.0230 8.6821 O
3.7126 -1.0921 11.1949 O
7.5444 1.0757 1.7825 O
3.7467 -1.1241 6.1608 O
7.6676 1.1080 13.0065 O
3.5161 -1.9764 3.1092 O
8.4906 0.8324 9.9829 O
11.0301 2.0045 9.8232 O
9.8258 1.2939 2.9463 O
10.0678 0.7058 7.4943 O
11.4396 1.4667 0.6490 O
5.6520 -2.0897 1.7840 O
7.5255 -1.0757 8.6546 O
5.6155 -2.2026 13.0127 O
5.6934 -2.2048 4.3058 O
7.6865 -1.1080 6.1343 O
7.6373 -1.2054 11.1759 O
8.5094 -0.8324 3.1107 O
5.0204 -2.8350 9.9513 O
7.8227 -1.9607 0.5097 O
12.6175 0.7907 7.4726 O
11.3277 0.0435 12.3284 O
10.0867 -0.7058 0.6221 O
6.3521 -2.8663 7.3255 O
11.3466 -0.0435 5.4563 O
13.2699 0.7232 2.9485 O
9.8070 -1.2939 9.8185 O
15.1449 0.7376 0.6254 O
8.8567 -2.9409 7.5003 O
11.4207 -1.4667 7.5212 O
12.6364 -0.7907 0.6004 O
8.4792 -3.4037 2.9892 O
7.2475 -4.1574 9.8260 O
11.0490 -2.0045 2.9510 O
13.2511 -0.7232 9.8207 O
10.1068 -3.6222 0.6520 O
15.1261 -0.7376 7.4976 O
8.5439 -4.8585 11.8679 O
```

---

Entry 8:
First-principles (GGA+U) data for a geometry-optimized ScTlMo2O8 structure, as listed in the Materials Project database.

- Energy relative to the lowest polymorph listed for this composition: 0 meV/atom
- Total moment: 0.0 μB per cell
- DFT formation energy: -2349 meV/atom
- SG: P-3m1
- Total energy: -86.3 eV/cell
- V: 19.24 Å³ per atom

POSCAR file:
```
ScTlMo2O8
1.0
5.9019 0.0000 0.0000
-2.9509 5.1112 0.0000
0.0000 0.0000 7.6519
Sc Tl Mo O
1 1 2 8
Cartesian
0.0000 0.0000 0.0000 Sc
0.0000 0.0000 3.8260 Tl
0.0000 3.4075 5.8243 Mo
2.9509 1.7037 1.8276 Mo
0.0000 1.6876 6.3923 O
-1.4894 4.2674 6.3923 O
1.4615 0.8438 1.2597 O
0.0000 3.4075 4.0737 O
2.9509 1.7037 3.5782 O
1.4894 4.2674 6.3923 O
4.4404 0.8438 1.2597 O
2.9509 3.4236 1.2597 O
```